# 1
An optimized crystal structure of ErSiRh2, computed with PBE.

Computed properties:
ΔE_f	-1.0320	eV per atom
mass density	10.0	g/cm³
uncorrected energy	-7.2124	eV per atom

a = 5.554 Å, b = 5.554 Å, c = 14.995 Å
α = 90.00°, β = 90.00°, γ = 120.00°
Fractional coordinates of all 24 atoms:
Er  0.333  0.667  0.037
Er  0.333  0.667  0.250
Er  0.333  0.667  0.463
Er  0.667  0.333  0.537
Er  0.667  0.333  0.750
Er  0.667  0.333  0.963
Si  0.000  0.000  0.000
Si  0.000  0.000  0.250
Si  0.000  0.000  0.500
Si  0.000  0.000  0.750
Si  0.333  0.667  0.750
Si  0.667  0.333  0.250
Rh  0.167  0.334  0.630
Rh  0.167  0.334  0.870
Rh  0.167  0.833  0.630
Rh  0.167  0.833  0.870
Rh  0.334  0.167  0.130
Rh  0.334  0.167  0.370
Rh  0.666  0.833  0.630
Rh  0.666  0.833  0.870
Rh  0.833  0.167  0.130
Rh  0.833  0.167  0.370
Rh  0.833  0.666  0.130
Rh  0.833  0.666  0.370


# 2
An optimized crystal structure of Er2Si3Rh, computed with PBE.

Computed properties:
ΔE_f	-0.9190	eV per atom
mass density	7.7	g/cm³
uncorrected energy	-6.3817	eV per atom

a = 8.158 Å, b = 8.158 Å, c = 7.847 Å
α = 90.00°, β = 90.00°, γ = 120.00°
Fractional coordinates of all 24 atoms:
Er  0.000  0.000  0.250
Er  0.000  0.000  0.750
Er  0.009  0.504  0.250
Er  0.496  0.504  0.250
Er  0.496  0.991  0.250
Er  0.504  0.009  0.750
Er  0.504  0.496  0.750
Er  0.991  0.496  0.750
Si  0.166  0.332  0.501
Si  0.166  0.332  0.999
Si  0.166  0.834  0.501
Si  0.166  0.834  0.999
Si  0.332  0.166  0.001
Si  0.332  0.166  0.499
Si  0.668  0.834  0.501
Si  0.668  0.834  0.999
Si  0.834  0.166  0.001
Si  0.834  0.166  0.499
Si  0.834  0.668  0.001
Si  0.834  0.668  0.499
Rh  0.333  0.667  0.515
Rh  0.333  0.667  0.985
Rh  0.667  0.333  0.015
Rh  0.667  0.333  0.485


Question: Which value of ΔE_f does entry 1 give?
Answer: -1.0320 eV per atom